No. 1
DFT (GGA-PBE) results for a relaxed CsPPbI2F6 crystal.

The formation energy is -2366 meV/atom.

a = 6.2964 Å, b = 6.2964 Å, c = 8.6029 Å
α = 90.00°, β = 90.00°, γ = 90.00°
Last column: nearest neighbours and their distance in Å.
Space group P4/mmm (No. 123)
Inequivalent atoms, fractional coordinates:
1 Cs 0.0000 0.0000 0.0000 [1 per cell]  8 F 3.49
2 P 0.5000 0.5000 0.0000 [1 per cell]  6 F 1.64-1.65
3 Pb 0.5000 0.5000 0.5000 [1 per cell]  2 F 2.65
4 I 0.0000 0.5000 0.5000 [2 per cell]  2 Pb 3.15
5 F 0.2403 0.5000 0.0000 [4 per cell]  1 P 1.64
6 F 0.5000 0.5000 0.1919 [2 per cell]  1 P 1.65



No. 2
DFT (GGA-PBE) results for a relaxed CsInF3 crystal.

The formation energy is -2650 meV/atom.

a = 4.6743 Å, b = 4.6743 Å, c = 4.6743 Å
α = 90.00°, β = 90.00°, γ = 90.00°
Last column: nearest neighbours and their distance in Å.
Space group Pm-3m (No. 221)
Inequivalent atoms, fractional coordinates:
1 Cs 0.0000 0.0000 0.0000 [1 per cell]  12 F 3.31
2 In 0.5000 0.5000 0.5000 [1 per cell]  6 F 2.34
3 F 0.0000 0.5000 0.5000 [3 per cell]  2 In 2.34



| no. | volume (Å³ per atom) |
| --- | --- |
| 1 | 31.0 |
| 2 | 20.4 |